Record 1
SrCu2B2O6: relaxed, PBE-GGA.

Values from the calculation:
symmetry: I4/mcm
formation energy from the elements: -2.29 eV per atom

```
SrCu2B2O6
1.0
-4.550 4.550 3.428
4.550 -4.550 3.428
4.550 4.550 -3.428
O Cu B Sr
12 4 4 2
Direct
0.149 0.169 0.318
0.351 0.669 0.020
0.851 0.831 0.682
0.905 0.405 0.310
0.831 0.149 0.980
0.095 0.595 0.690
0.669 0.649 0.318
0.169 0.851 0.020
0.331 0.351 0.682
0.649 0.331 0.980
0.595 0.905 0.500
0.405 0.095 0.500
0.883 0.617 0.500
0.617 0.117 0.734
0.383 0.883 0.266
0.117 0.383 0.500
0.702 0.798 0.500
0.202 0.702 0.903
0.798 0.298 0.097
0.298 0.202 0.500
0.250 0.250 0.000
0.750 0.750 0.000
```

***

Record 2
SrCu2B2O6: relaxed, PBE-GGA.

Values from the calculation:
symmetry: I4cm
formation energy from the elements: -2.29 eV per atom

```
SrCu2B2O6
1.0
-5.406 -4.570 1.728
2.425 5.291 4.384
-2.776 3.718 -5.618
B O Cu Sr
4 12 4 2
Direct
0.546 0.046 0.096
0.951 0.451 0.904
0.046 0.951 0.500
0.451 0.546 0.500
0.400 0.082 0.978
0.900 0.922 0.318
0.144 0.836 0.500
0.836 0.336 0.693
0.104 0.422 0.022
0.644 0.144 0.307
0.922 0.604 0.022
0.082 0.104 0.682
0.336 0.644 0.500
0.604 0.582 0.682
0.422 0.400 0.318
0.582 0.900 0.978
0.863 0.132 0.500
0.632 0.363 0.500
0.363 0.863 0.732
0.132 0.632 0.268
0.502 0.502 0.000
0.002 0.002 0.000
```

***

Record 3
Sr2CuB2O6: relaxed, PBE-GGA.

Values from the calculation:
symmetry: Pnma
formation energy from the elements: -2.77 eV per atom

```
Sr2CuB2O6
1.0
7.817 0.000 0.000
0.000 10.841 0.000
0.000 0.000 13.703
Sr O B Cu
16 48 16 8
Direct
0.164 0.023 0.717
0.000 0.000 0.000
0.336 0.977 0.217
0.886 0.250 0.545
0.614 0.750 0.045
0.386 0.250 0.955
0.500 0.500 0.500
0.836 0.523 0.283
0.114 0.750 0.455
0.000 0.500 0.000
0.664 0.477 0.783
0.664 0.023 0.783
0.164 0.477 0.717
0.836 0.977 0.283
0.336 0.523 0.217
0.500 0.000 0.500
0.801 0.601 0.478
0.703 0.964 0.115
0.987 0.376 0.396
0.062 0.359 0.185
0.297 0.464 0.885
0.438 0.641 0.685
0.438 0.359 0.665
0.938 0.859 0.815
0.797 0.036 0.615
0.797 0.464 0.615
0.062 0.141 0.185
0.513 0.624 0.896
0.069 0.250 0.702
0.431 0.750 0.202
0.199 0.101 0.522
0.562 0.359 0.315
0.013 0.624 0.604
0.513 0.876 0.896
0.487 0.124 0.104
0.586 0.250 0.470
0.297 0.036 0.885
0.562 0.859 0.335
0.938 0.641 0.815
0.487 0.376 0.104
0.801 0.899 0.478
0.699 0.101 0.978
0.438 0.859 0.685
0.914 0.750 0.970
0.931 0.750 0.298
0.938 0.141 0.835
0.301 0.899 0.022
0.438 0.141 0.665
0.414 0.750 0.530
0.987 0.124 0.396
0.086 0.250 0.030
0.062 0.859 0.165
0.013 0.876 0.604
0.562 0.141 0.315
0.938 0.359 0.835
0.203 0.536 0.385
0.062 0.641 0.165
0.203 0.964 0.385
0.301 0.601 0.022
0.703 0.536 0.115
0.562 0.641 0.335
0.699 0.399 0.978
0.569 0.250 0.798
0.199 0.399 0.522
0.868 0.563 0.568
0.016 0.750 0.212
0.572 0.250 0.372
0.928 0.750 0.872
0.984 0.250 0.788
0.132 0.437 0.432
0.868 0.937 0.568
0.072 0.250 0.128
0.632 0.063 0.068
0.516 0.750 0.288
0.632 0.437 0.068
0.428 0.750 0.628
0.368 0.563 0.932
0.484 0.250 0.712
0.132 0.063 0.432
0.368 0.937 0.932
0.693 0.750 0.430
0.469 0.750 0.800
0.307 0.250 0.570
0.807 0.250 0.930
0.193 0.750 0.070
0.531 0.250 0.200
0.031 0.250 0.300
0.969 0.750 0.700
```

***

Record 4
SrCu2B2O6: relaxed, PBE-GGA.

Values from the calculation:
symmetry: I-42m
formation energy from the elements: -2.29 eV per atom

```
SrCu2B2O6
1.0
-4.544 4.544 3.420
4.544 -4.544 3.420
4.544 4.544 -3.420
O Sr B Cu
12 2 4 4
Direct
0.620 0.620 0.803
0.891 0.416 0.818
0.927 0.109 0.525
0.380 0.183 0.000
0.598 0.073 0.182
0.584 0.402 0.475
0.817 0.817 0.197
0.109 0.927 0.525
0.073 0.598 0.182
0.416 0.891 0.818
0.402 0.584 0.475
0.183 0.380 0.000
0.000 0.500 0.500
0.500 0.000 0.500
0.540 0.540 0.592
0.460 0.052 0.000
0.052 0.460 0.000
0.948 0.948 0.408
0.842 0.613 0.000
0.158 0.158 0.771
0.387 0.387 0.229
0.613 0.842 0.000
```

***

Question: Which value of formation energy from the elements does entry 3 give?
Answer: -2.77 eV per atom